A relaxed structure of Na2MgSiO4. Source: the Materials Project database, functional GGA-PBE.

Geometry as CIF:
```
data_Na2MgSiO4
_chemical_formula_sum 'Na4 Mg2 Si2 O8'
_cell_length_a 5.336
_cell_length_b 5.571
_cell_length_c 8.824
_cell_angle_alpha 90.00
_cell_angle_beta 127.02
_cell_angle_gamma 90.00
_space_group_name_H-M_alt 'P 1 c 1'
_space_group_IT_number 7
_space_group_name_Hall 'P -2yc'
loop_
_atom_site_label
_atom_site_type_symbol
_atom_site_fract_x
_atom_site_fract_y
_atom_site_fract_z
Na1 Na 0.000 0.167 0.000
Na2 Na 0.748 0.317 0.245
Mg1 Mg 0.264 0.314 0.751
Si1 Si 0.515 0.187 0.498
O1 O 0.244 0.345 0.307
O2 O 0.410 0.099 0.967
O3 O 0.564 0.290 0.690
O4 O 0.851 0.213 0.528
```

Properties
* ΔH_f (0 K): -2.807 eV/atom
* V: 104.7 Å³/f.u.
* maximum piezoelectric response: 1.180 C/m2
* E: -49.17 eV/f.u.